Entry 1:
Entry from the Materials Project database: an optimized crystal structure of Li7Mn2Co3O12 (PBE+U). Values from VASP.

Output
DFT formation energy, eV per atom: -1.874
Calculated density, Mg/m³: 4.2
Volume, Å³/cell: 210.7
Total DFT energy (no corrections), eV per atom: -5.869

Cell and atoms, written as Quantum ESPRESSO input:
```
&SYSTEM
  ibrav = 0, nat = 24, ntyp = 4
/
ATOMIC_SPECIES
Li 6.94 Li.upf
Mn 54.94 Mn.upf
Co 58.93 Co.upf
O 16.00 O.upf
CELL_PARAMETERS angstrom
-1.8777 -5.5654 -0.1693
4.5307 -1.6730 -3.3389
1.5743 -2.3394 5.8347
ATOMIC_POSITIONS crystal
Li 0.4982 0.0004 0.9988
Li 0.1645 0.3384 0.3311
Li 0.8348 0.1762 0.6724
Li 0.4999 0.4989 0.9960
Li 0.8364 0.6599 0.6686
Li 0.1663 0.8262 0.3305
Li 0.0021 0.4984 0.9988
Mn 0.0020 0.9978 0.9975
Mn 0.6711 0.8312 0.3321
Co 0.6723 0.3393 0.3320
Co 0.3242 0.6589 0.6721
Co 0.3287 0.1674 0.6670
O 0.2462 0.7589 0.9849
O 0.8977 0.0727 0.3213
O 0.5702 0.9266 0.6492
O 0.2314 0.2251 0.9856
O 0.5757 0.4276 0.6476
O 0.9022 0.6011 0.3362
O 0.7538 0.2424 0.0225
O 0.4458 0.5974 0.3395
O 0.1064 0.4036 0.6601
O 0.7622 0.7719 0.0185
O 0.0833 0.9024 0.6872
O 0.4249 0.0774 0.3502
```

---

Entry 2:
Entry from the Materials Project database: an optimized crystal structure of Li7Mn2Co3O12 (PBE+U). Values from VASP.

Output
DFT formation energy, eV per atom: -1.797
Calculated density, Mg/m³: 4.1
Volume, Å³/cell: 215.6
Total DFT energy (no corrections), eV per atom: -5.792

Cell and atoms, written as Quantum ESPRESSO input:
```
&SYSTEM
  ibrav = 0, nat = 24, ntyp = 4
/
ATOMIC_SPECIES
Li 6.94 Li.upf
Mn 54.94 Mn.upf
Co 58.93 Co.upf
O 16.00 O.upf
CELL_PARAMETERS angstrom
2.8985 0.0000 0.0000
0.1914 5.9227 0.0000
0.2216 2.9254 12.5572
ATOMIC_POSITIONS crystal
Li 0.9984 0.1788 0.6545
Li 0.5000 0.0000 0.5000
Li 0.5024 0.3338 0.8336
Li 0.0000 0.5000 0.0000
Li 0.4976 0.6662 0.1664
Li 0.0016 0.8212 0.3455
Li 0.5000 0.5000 0.5000
Mn 0.9952 0.6666 0.6582
Mn 0.0048 0.3334 0.3418
Co 0.5097 0.1679 0.1671
Co 0.0000 0.0000 0.0000
Co 0.4903 0.8321 0.8329
O 0.4817 0.8882 0.6687
O 0.0029 0.7444 0.5140
O 0.0164 0.0663 0.8346
O 0.5165 0.2343 0.0019
O 0.0240 0.3966 0.1736
O 0.4921 0.5548 0.3321
O 0.5079 0.4452 0.6679
O 0.9971 0.2556 0.4860
O 0.9760 0.6034 0.8264
O 0.4835 0.7657 0.9981
O 0.9836 0.9337 0.1655
O 0.5183 0.1118 0.3313
```

---

Entry 3:
Entry from the Materials Project database: an optimized crystal structure of Li7Mn2Co3O12 (PBE+U). Values from VASP.

Output
DFT formation energy, eV per atom: -1.855
Calculated density, Mg/m³: 4.0
Volume, Å³/cell: 218.9
Total DFT energy (no corrections), eV per atom: -5.850

Cell and atoms, written as Quantum ESPRESSO input:
```
&SYSTEM
  ibrav = 0, nat = 24, ntyp = 4
/
ATOMIC_SPECIES
Li 6.94 Li.upf
Mn 54.94 Mn.upf
Co 58.93 Co.upf
O 16.00 O.upf
CELL_PARAMETERS angstrom
-1.4116 -1.8295 1.8320
7.2142 -2.9191 2.6435
3.6583 4.9132 7.7251
ATOMIC_POSITIONS crystal
Li 0.0000 0.1942 0.6450
Li 0.0000 0.4958 0.9999
Li 0.0000 0.8110 0.3544
Li 0.5000 0.6498 0.1852
Li 0.5000 0.0055 0.4868
Li 0.5000 0.3418 0.8248
Li 0.5000 0.4992 0.4985
Mn 0.0000 0.0022 0.0013
Mn 0.5000 0.8322 0.8298
Co 0.0000 0.3423 0.3471
Co 0.0000 0.6500 0.6546
Co 0.5000 0.1782 0.1752
O 0.0000 0.7725 0.9790
O 0.0000 0.0927 0.3219
O 0.0000 0.4241 0.6741
O 0.5000 0.2479 0.4934
O 0.5000 0.6072 0.8290
O 0.5000 0.9280 0.1427
O 0.0000 0.5710 0.3280
O 0.0000 0.9064 0.6919
O 0.0000 0.2260 0.0091
O 0.5000 0.0646 0.8541
O 0.5000 0.4065 0.1640
O 0.5000 0.7510 0.5104
```

---

Entry 4:
Entry from the Materials Project database: an optimized crystal structure of Li7Mn4CoO12 (PBE+U). Values from VASP.

Output
DFT formation energy, eV per atom: -2.075
Calculated density, Mg/m³: 4.0
Volume, Å³/cell: 430.8
Total DFT energy (no corrections), eV per atom: -6.239

Cell and atoms, written as Quantum ESPRESSO input:
```
&SYSTEM
  ibrav = 0, nat = 48, ntyp = 4
/
ATOMIC_SPECIES
Li 6.94 Li.upf
Mn 54.94 Mn.upf
Co 58.93 Co.upf
O 16.00 O.upf
CELL_PARAMETERS angstrom
-2.7794 -4.3174 0.5693
-2.3892 4.2423 9.4933
-7.2397 4.6603 0.0002
ATOMIC_POSITIONS crystal
Li 0.0002 0.0000 0.3333
Li 0.4998 0.0000 0.8333
Li 0.3842 0.2445 0.2111
Li 0.8756 0.2454 0.7106
Li 0.1158 0.7555 0.9556
Li 0.6244 0.7546 0.4560
Li 0.3775 0.2486 0.5473
Li 0.8701 0.2484 0.0472
Li 0.1225 0.7514 0.2959
Li 0.6299 0.7516 0.7956
Li 0.8701 0.2484 0.3711
Li 0.3775 0.2486 0.8708
Li 0.6299 0.7516 0.1195
Li 0.1225 0.7514 0.6194
Mn 0.0000 0.0002 0.0012
Mn 0.5000 0.9998 0.5014
Mn 0.5000 0.9998 0.1655
Mn 0.0000 0.0002 0.6653
Mn 0.2500 0.4999 0.2524
Mn 0.7500 0.5000 0.7518
Mn 0.2500 0.5001 0.9142
Mn 0.7500 0.5000 0.4149
Co 0.2500 0.5000 0.5833
Co 0.7500 0.5000 0.0833
O 0.1639 0.1114 0.7776
O 0.6643 0.1113 0.2777
O 0.3361 0.8886 0.3891
O 0.8357 0.8887 0.8890
O 0.4432 0.6079 0.0294
O 0.9144 0.6180 0.5243
O 0.0568 0.3921 0.1373
O 0.5856 0.3820 0.6423
O 0.2073 0.1105 0.0998
O 0.7073 0.1100 0.6000
O 0.2073 0.1105 0.4563
O 0.7073 0.1100 0.9567
O 0.2927 0.8895 0.7103
O 0.7927 0.8900 0.2099
O 0.2927 0.8895 0.0668
O 0.7928 0.8900 0.5667
O 0.4074 0.6163 0.3612
O 0.9113 0.6173 0.8598
O 0.9114 0.6173 0.1896
O 0.4074 0.6163 0.6892
O 0.0926 0.3837 0.4775
O 0.5886 0.3827 0.9771
O 0.5886 0.3827 0.3069
O 0.0926 0.3837 0.8055
```

---

Entry 5:
Entry from the Materials Project database: an optimized crystal structure of Li2MnCoO4 (PBE+U). Values from VASP.

Output
DFT formation energy, eV per atom: -1.927
Calculated density, Mg/m³: 4.4
Volume, Å³/cell: 145.7
Total DFT energy (no corrections), eV per atom: -6.156

Cell and atoms, written as Quantum ESPRESSO input:
```
&SYSTEM
  ibrav = 0, nat = 16, ntyp = 4
/
ATOMIC_SPECIES
Li 6.94 Li.upf
Mn 54.94 Mn.upf
Co 58.93 Co.upf
O 16.00 O.upf
CELL_PARAMETERS angstrom
2.9205 -0.0001 0.0001
1.4601 4.5398 4.5733
-1.4599 -5.1453 5.8067
ATOMIC_POSITIONS crystal
Li 0.2467 0.3743 0.8677
Li 0.2467 0.8743 0.3677
Li 0.7528 0.6265 0.1320
Li 0.7528 0.1265 0.6320
Mn 0.4997 0.7501 0.7496
Mn 0.4998 0.2499 0.2496
Co 0.0000 0.5000 0.5000
Co 0.0000 0.0000 0.0000
O 0.3868 0.5373 0.3109
O 0.3867 0.0375 0.8108
O 0.6147 0.4605 0.6900
O 0.6148 0.9604 0.1901
O 0.8873 0.3109 0.0854
O 0.8873 0.8110 0.5854
O 0.1119 0.6905 0.9144
O 0.1120 0.1904 0.4144
```

---

Entry 6:
Entry from the Materials Project database: an optimized crystal structure of Li5Mn2CoO8 (PBE+U). Values from VASP.

Output
DFT formation energy, eV per atom: -2.034
Calculated density, Mg/m³: 3.9
Volume, Å³/cell: 282.0
Total DFT energy (no corrections), eV per atom: -6.040

Cell and atoms, written as Quantum ESPRESSO input:
```
&SYSTEM
  ibrav = 0, nat = 32, ntyp = 4
/
ATOMIC_SPECIES
Li 6.94 Li.upf
Mn 54.94 Mn.upf
Co 58.93 Co.upf
O 16.00 O.upf
CELL_PARAMETERS angstrom
4.9742 -0.1276 0.2325
-1.8085 4.5623 6.0341
1.2498 -5.1211 5.7193
ATOMIC_POSITIONS crystal
Li 0.9996 0.3802 0.8816
Li 0.9999 0.8805 0.3812
Li 0.4973 0.4980 0.0007
Li 0.4981 0.9987 0.4998
Li 0.0005 0.6191 0.1186
Li 0.0009 0.1195 0.6174
Li 0.5020 0.7502 0.2499
Li 0.5019 0.2501 0.7500
Li 0.9995 0.7498 0.7508
Li 0.9991 0.2498 0.2511
Mn 0.0005 0.5022 0.5016
Mn 0.0000 0.0017 0.0010
Mn 0.5000 0.6270 0.6273
Mn 0.4995 0.1271 0.1273
Co 0.5001 0.8691 0.8687
Co 0.5002 0.3690 0.3687
O 0.7505 0.1179 0.8941
O 0.7523 0.6183 0.3938
O 0.2500 0.2277 0.0071
O 0.2512 0.7282 0.5066
O 0.7212 0.3602 0.1259
O 0.7211 0.8603 0.6257
O 0.2474 0.4963 0.2738
O 0.2465 0.9962 0.7743
O 0.2796 0.6258 0.8601
O 0.2784 0.1259 0.3604
O 0.7541 0.7747 0.9956
O 0.7536 0.2744 0.4957
O 0.2477 0.3940 0.6183
O 0.2483 0.8942 0.1178
O 0.7496 0.5069 0.7277
O 0.7495 0.0070 0.2274
```

---

Calculated E above lowest polymorph, 5.8, 13.2, 7.6, 0.9, 0.8, 0.0 kJ per mole of atoms (same order as the records).